Record 1
{"formula": "Na2Co2O3", "functional": "r2SCAN", "state": "relaxed", "lattice_angstrom": [[5.4627, 6.1643, -0.0134], [-5.4627, 6.1643, -0.0145], [0.0006, 2.3192, 5.0021]], "species": ["Na", "Na", "Na", "Na", "Na", "Na", "Na", "Na", "Co", "Co", "Co", "Co", "Co", "Co", "Co", "Co", "O", "O", "O", "O", "O", "O", "O", "O", "O", "O", "O", "O"], "fractional_positions": [[0.0055, 0.8197, 0.5901], [0.5721, 0.4286, 0.7491], [0.4279, 0.5714, 0.2509], [0.8198, 0.0054, 0.0903], [0.7132, 0.2878, 0.2489], [0.1802, 0.9946, 0.9097], [0.9945, 0.1803, 0.4099], [0.2868, 0.7122, 0.7511], [0.6453, 0.7819, 0.6965], [0.9120, 0.4503, 0.7523], [0.5500, 0.0881, 0.7472], [0.0880, 0.5497, 0.2477], [0.3547, 0.2181, 0.3035], [0.4500, 0.9119, 0.2528], [0.7818, 0.6455, 0.1963], [0.2182, 0.3545, 0.8037], [0.2865, 0.4342, 0.0609], [0.0046, 0.2352, 0.9488], [0.4325, 0.8556, 0.9416], [0.4344, 0.2866, 0.5606], [0.2351, 0.0046, 0.4490], [0.7135, 0.5658, 0.9391], [0.1445, 0.5675, 0.5586], [0.5675, 0.1444, 0.0584], [0.5656, 0.7134, 0.4394], [0.9954, 0.7648, 0.0512], [0.8555, 0.4325, 0.4414], [0.7649, 0.9954, 0.5510]], "e_above_lowest_polymorph_kcal_per_mol_atoms": 0.00, "delta_e_f_ev_per_atom": -1.3051, "volume_a3_per_atom": 12.04, "spacegroup": "P-1, No. 2"}

***

Record 2
{"formula": "Na8CoO6", "functional": "r2SCAN", "state": "relaxed", "lattice_angstrom": [[3.1271, -5.4164, 0.0000], [3.1271, 5.4164, 0.0000], [0.0000, 0.0000, 12.5253]], "species": ["O", "O", "O", "O", "O", "O", "O", "O", "O", "O", "O", "O", "Na", "Na", "Na", "Na", "Na", "Na", "Na", "Na", "Na", "Na", "Na", "Na", "Na", "Na", "Na", "Na", "Co", "Co"], "fractional_positions": [[0.3333, 0.6667, 0.2213], [0.7259, 0.7259, 0.4519], [0.6667, 0.3333, 0.7213], [0.0000, 0.0000, 0.6448], [0.0000, 0.7259, 0.9519], [0.2741, 0.2741, 0.9519], [0.2741, 0.0000, 0.4519], [0.6667, 0.3333, 0.2213], [0.3333, 0.6667, 0.7213], [0.0000, 0.2741, 0.4519], [0.7259, 0.0000, 0.9519], [0.0000, 0.0000, 0.1446], [0.2962, 0.2962, 0.7700], [0.0000, 0.3882, 0.6238], [0.0000, 0.2962, 0.2700], [0.7038, 0.0000, 0.7700], [0.0000, 0.6118, 0.1237], [0.6118, 0.0000, 0.1237], [0.3882, 0.3882, 0.1237], [0.6119, 0.6119, 0.6238], [0.3333, 0.6667, 0.9123], [0.7038, 0.7038, 0.2700], [0.0000, 0.7038, 0.7700], [0.3333, 0.6667, 0.4123], [0.6667, 0.3333, 0.4123], [0.6667, 0.3333, 0.9123], [0.2962, 0.0000, 0.2700], [0.3882, 0.0000, 0.6238], [0.0000, 0.0000, 0.4968], [0.0000, 0.0000, 0.9967]], "delta_e_f_ev_per_atom": -1.4542, "volume_a3_per_atom": 14.14, "spacegroup": "P6_3cm, No. 185"}

***

Record 3
{"formula": "NaCo2O4", "functional": "r2SCAN", "state": "relaxed", "lattice_angstrom": [[4.8402, 0.0000, 0.0000], [0.0000, 5.5853, 0.0000], [0.0000, 0.0000, 10.9944]], "species": ["Co", "Co", "Co", "Co", "Co", "Co", "Co", "Co", "O", "O", "O", "O", "O", "O", "O", "O", "O", "O", "O", "O", "O", "O", "O", "O", "Na", "Na", "Na", "Na"], "fractional_positions": [[0.5000, 0.7500, 0.2500], [0.0021, 0.0000, 0.7532], [0.5000, 0.2500, 0.7500], [0.5000, 0.7500, 0.7500], [0.0021, 0.0000, 0.2468], [0.5000, 0.2500, 0.2500], [0.9979, 0.5000, 0.2532], [0.9979, 0.5000, 0.7468], [0.1660, 0.7517, 0.3397], [0.6712, 0.0000, 0.3350], [0.1660, 0.7517, 0.6603], [0.1660, 0.2483, 0.6603], [0.3288, 0.5000, 0.1650], [0.6638, 0.5000, 0.6620], [0.3288, 0.5000, 0.8350], [0.6638, 0.5000, 0.3380], [0.8340, 0.2517, 0.8397], [0.3362, 0.0000, 0.1620], [0.8340, 0.7483, 0.1603], [0.8340, 0.7483, 0.8397], [0.8340, 0.2517, 0.1603], [0.3362, 0.0000, 0.8380], [0.1660, 0.2483, 0.3397], [0.6712, 0.0000, 0.6650], [0.3520, 0.5000, 0.5000], [0.0250, 0.5000, 0.0000], [0.9750, 0.0000, 0.5000], [0.6480, 0.0000, 0.0000]], "delta_e_f_ev_per_atom": -1.4562, "volume_a3_per_atom": 10.62, "spacegroup": "Pmmn, No. 59"}

***

Record 4
{"formula": "Na3Co5O10", "functional": "r2SCAN", "state": "relaxed", "lattice_angstrom": [[-2.8798, -2.7576, -2.7754], [-5.0934, -0.6299, 7.2853], [-6.2451, 6.2589, -1.1131]], "species": ["O", "O", "O", "O", "O", "O", "O", "O", "O", "O", "O", "O", "O", "O", "O", "O", "O", "O", "O", "O", "Co", "Co", "Co", "Co", "Co", "Co", "Co", "Co", "Co", "Co", "Na", "Na", "Na", "Na", "Na", "Na"], "fractional_positions": [[0.1942, 0.7927, 0.6088], [0.2016, 0.5920, 0.4087], [0.8025, 0.0125, 0.1903], [0.6942, 0.6912, 0.5073], [0.7015, 0.0920, 0.9087], [0.8025, 0.6097, 0.7875], [0.3025, 0.1097, 0.2875], [0.3097, 0.9111, 0.0884], [0.6900, 0.4875, 0.3125], [0.8098, 0.2116, 0.3889], [0.3097, 0.7116, 0.8889], [0.7015, 0.8913, 0.7080], [0.1900, 0.9876, 0.8124], [0.8097, 0.4111, 0.5884], [0.3025, 0.5125, 0.6903], [0.2016, 0.3913, 0.2080], [0.1942, 0.1912, 0.0074], [0.8010, 0.8126, 0.9874], [0.6943, 0.2927, 0.1088], [0.3011, 0.3126, 0.4874], [0.5016, 0.9043, 0.8957], [0.0008, 0.6027, 0.5965], [0.5008, 0.7034, 0.6973], [0.9998, 0.7980, 0.8022], [0.0008, 0.2034, 0.1973], [0.4999, 0.2980, 0.3022], [0.5008, 0.1027, 0.0966], [0.4999, 0.4978, 0.5020], [0.0016, 0.4043, 0.3957], [0.9998, 0.9978, 0.0020], [0.9162, 0.9490, 0.4529], [0.9116, 0.1476, 0.6524], [0.4162, 0.8470, 0.3510], [0.9162, 0.3470, 0.8510], [0.4116, 0.6476, 0.1524], [0.4162, 0.4490, 0.9530]], "delta_e_f_ev_per_atom": -1.4719, "volume_a3_per_atom": 10.27}

***

Record 5
{"formula": "Na7Co2O6", "functional": "r2SCAN", "state": "relaxed", "lattice_angstrom": [[4.1206, -5.6415, 3.4429], [7.3874, -1.1371, 2.1893], [0.1306, 2.7188, 10.1092]], "species": ["O", "O", "O", "O", "O", "O", "O", "O", "O", "O", "O", "O", "Co", "Co", "Co", "Co", "Na", "Na", "Na", "Na", "Na", "Na", "Na", "Na", "Na", "Na", "Na", "Na", "Na", "Na"], "fractional_positions": [[0.0007, 0.3487, 0.4167], [0.3261, 0.8654, 0.6258], [0.3487, 0.0007, 0.9167], [0.1346, 0.6739, 0.8742], [0.3930, 0.8493, 0.3113], [0.6070, 0.1507, 0.6887], [0.1507, 0.6070, 0.1887], [0.9993, 0.6513, 0.5833], [0.8493, 0.3930, 0.8113], [0.6513, 0.9993, 0.0833], [0.6739, 0.1346, 0.3743], [0.8654, 0.3261, 0.1258], [0.0094, 0.2401, 0.9612], [0.7599, 0.9906, 0.5388], [0.9906, 0.7599, 0.0388], [0.2401, 0.0094, 0.4612], [0.6984, 0.4212, 0.3488], [0.0720, 0.9280, 0.2500], [0.5757, 0.7605, 0.0945], [0.4243, 0.2395, 0.9055], [0.2590, 0.1911, 0.6936], [0.2395, 0.4243, 0.4055], [0.1911, 0.2590, 0.1936], [0.5788, 0.3016, 0.1512], [0.8089, 0.7410, 0.8064], [0.7605, 0.5757, 0.5945], [0.7410, 0.8089, 0.3064], [0.9280, 0.0720, 0.7500], [0.4212, 0.6984, 0.8488], [0.3016, 0.5788, 0.6512]], "delta_e_f_ev_per_atom": -1.4706, "volume_a3_per_atom": 13.92, "spacegroup": "C2/c, No. 15"}

***

Record 6
{"formula": "Na4CoO3", "functional": "r2SCAN", "state": "relaxed", "lattice_angstrom": [[2.8436, 5.4418, 0.0097], [-2.8436, 5.4418, 0.0097], [0.0000, 3.2968, 7.3986]], "species": ["Na", "Na", "Na", "Na", "Na", "Na", "Na", "Na", "O", "O", "O", "O", "O", "O", "Co", "Co"], "fractional_positions": [[0.6482, 0.3280, 0.6141], [0.0960, 0.4334, 0.5279], [0.4761, 0.8980, 0.7122], [0.8980, 0.4761, 0.2122], [0.3280, 0.6482, 0.1141], [0.2411, 0.9245, 0.4354], [0.9245, 0.2411, 0.9354], [0.4334, 0.0960, 0.0279], [0.0289, 0.0106, 0.7269], [0.2563, 0.3567, 0.7713], [0.6970, 0.6835, 0.9540], [0.3567, 0.2563, 0.2713], [0.0106, 0.0289, 0.2269], [0.6835, 0.6970, 0.4540], [0.0101, 0.7067, 0.8131], [0.7067, 0.0101, 0.3131]], "delta_e_f_ev_per_atom": -1.4160, "volume_a3_per_atom": 14.30, "spacegroup": "Cc, No. 9"}

***

Record 7
{"formula": "Na2Co2O3", "functional": "r2SCAN", "state": "relaxed", "lattice_angstrom": [[-3.0997, 0.4691, 4.8628], [-4.7223, -1.2522, -2.8893], [2.3242, -5.3715, -1.4713]], "species": ["O", "O", "O", "O", "O", "O", "Co", "Co", "Co", "Co", "Na", "Na", "Na", "Na"], "fractional_positions": [[0.3462, 0.4215, 0.2535], [0.0000, 0.0000, 0.0000], [0.6538, 0.5785, 0.7465], [0.6538, 0.9215, 0.2465], [0.3462, 0.0785, 0.7535], [0.0000, 0.5000, 0.5000], [0.3426, 0.1296, 0.0870], [0.6574, 0.8704, 0.9130], [0.6574, 0.6296, 0.4129], [0.3426, 0.3704, 0.5871], [0.1348, 0.8459, 0.3973], [0.8652, 0.3459, 0.1027], [0.1348, 0.6541, 0.8973], [0.8652, 0.1541, 0.6027]], "e_above_lowest_polymorph_kcal_per_mol_atoms": 0.14, "delta_e_f_ev_per_atom": -1.2988, "volume_a3_per_atom": 12.39, "spacegroup": "P2_1/c, No. 14"}

***

Record 8
{"formula": "Na4CoO4", "functional": "r2SCAN", "state": "relaxed", "lattice_angstrom": [[5.6582, -0.1084, 0.0101], [-1.8292, -5.3836, -0.0616], [-2.3286, 0.6445, -7.4770]], "species": ["O", "O", "O", "O", "O", "O", "O", "O", "Co", "Co", "Na", "Na", "Na", "Na", "Na", "Na", "Na", "Na"], "fractional_positions": [[0.3605, 0.0070, 0.7353], [0.9104, 0.9683, 0.7864], [0.1932, 0.4669, 0.3850], [0.8068, 0.5331, 0.6150], [0.6395, 0.9930, 0.2647], [0.0896, 0.0317, 0.2136], [0.2405, 0.5643, 0.8796], [0.7595, 0.4357, 0.1204], [0.0822, 0.7693, 0.7540], [0.9178, 0.2307, 0.2460], [0.4788, 0.2394, 0.4148], [0.2288, 0.7114, 0.1543], [0.5212, 0.7606, 0.5852], [0.6757, 0.7907, 0.9897], [0.8968, 0.7172, 0.3652], [0.7712, 0.2886, 0.8457], [0.3243, 0.2093, 0.0103], [0.1032, 0.2828, 0.6348]], "delta_e_f_ev_per_atom": -1.4951, "volume_a3_per_atom": 12.74, "spacegroup": "P-1, No. 2"}